Run i
Li2VC2O6: optimized geometry, PBE with a Hubbard U.

## Properties
The value obtained for the density is 2.7 Mg/m³. For the total magnetization, the calculation gives 12.000 μB/cell.

POSCAR file:
```
Li2VC2O6
1.0
7.874 0.000 0.000
1.786 7.673 0.000
3.064 2.434 7.524
Li V C O
8 4 8 24
Direct
0.048 0.382 0.202
0.158 0.265 0.771
0.319 0.257 0.400
0.427 0.926 0.215
0.573 0.074 0.785
0.681 0.743 0.600
0.842 0.735 0.229
0.952 0.618 0.798
0.000 0.000 0.500
0.256 0.746 0.996
0.500 0.500 0.500
0.744 0.254 0.004
0.119 0.109 0.090
0.130 0.629 0.413
0.364 0.871 0.585
0.381 0.379 0.911
0.619 0.621 0.089
0.636 0.129 0.415
0.870 0.371 0.587
0.881 0.891 0.910
0.008 0.754 0.928
0.048 0.708 0.536
0.079 0.680 0.272
0.176 0.057 0.228
0.196 0.037 0.962
0.238 0.008 0.568
0.260 0.496 0.434
0.302 0.451 0.039
0.320 0.430 0.775
0.423 0.811 0.722
0.443 0.795 0.459
0.484 0.750 0.079
0.516 0.250 0.921
0.557 0.205 0.541
0.577 0.189 0.278
0.680 0.570 0.225
0.698 0.549 0.961
0.740 0.504 0.566
0.762 0.992 0.432
0.804 0.963 0.038
0.824 0.943 0.772
0.921 0.320 0.728
0.952 0.292 0.464
0.992 0.246 0.072
```

Run ii
Li2VC2O6: optimized geometry, PBE with a Hubbard U.

## Properties
The value obtained for the density is 2.6 Mg/m³. For the total magnetization, the calculation gives 11.999 μB/cell.

POSCAR file:
```
Li2VC2O6
1.0
4.726 -6.361 0.000
4.726 6.361 0.000
-4.250 0.000 7.983
Li V C O
8 4 8 24
Direct
0.068 0.932 0.500
0.095 0.609 0.801
0.122 0.592 0.288
0.485 0.659 0.952
0.592 0.122 0.788
0.609 0.095 0.301
0.659 0.485 0.452
0.932 0.068 0.000
0.060 0.316 0.431
0.316 0.060 0.931
0.562 0.817 0.435
0.817 0.562 0.935
0.251 0.853 0.167
0.283 0.378 0.196
0.345 0.747 0.662
0.378 0.283 0.696
0.747 0.345 0.162
0.781 0.884 0.194
0.853 0.251 0.667
0.884 0.781 0.694
0.000 0.938 0.821
0.010 0.343 0.657
0.113 0.308 0.203
0.123 0.707 0.033
0.194 0.633 0.529
0.292 0.838 0.311
0.303 0.319 0.058
0.308 0.113 0.703
0.319 0.303 0.558
0.335 0.775 0.810
0.343 0.010 0.157
0.424 0.510 0.332
0.505 0.841 0.657
0.510 0.424 0.832
0.619 0.820 0.209
0.633 0.194 0.029
0.707 0.123 0.533
0.775 0.335 0.310
0.779 0.831 0.042
0.820 0.619 0.709
0.831 0.779 0.542
0.838 0.292 0.811
0.841 0.505 0.157
0.938 0.000 0.321
```

run i (9 meV per atom below the next structure)

Run i
CsMo2P3O13: optimized geometry, PBE with a Hubbard U.

## Properties
The value obtained for the density is 3.3 Mg/m³. For the total magnetization, the calculation gives 8.000 μB/cell.

POSCAR file:
```
CsMo2P3O13
1.0
6.502 0.000 0.000
0.000 19.894 0.000
-2.932 0.000 9.608
Cs Mo P O
4 8 12 52
Direct
0.215 0.000 0.134
0.233 0.831 0.504
0.767 0.331 0.496
0.785 0.500 0.866
0.061 0.211 0.889
0.145 0.499 0.570
0.358 0.172 0.447
0.440 0.453 0.131
0.560 0.953 0.869
0.642 0.672 0.553
0.855 0.999 0.430
0.939 0.711 0.111
0.010 0.921 0.778
0.098 0.656 0.457
0.240 0.299 0.207
0.264 0.368 0.809
0.401 0.013 0.532
0.485 0.745 0.201
0.515 0.245 0.799
0.599 0.513 0.468
0.736 0.868 0.191
0.760 0.799 0.793
0.902 0.156 0.543
0.990 0.421 0.222
0.027 0.341 0.212
0.047 0.439 0.375
0.047 0.692 0.316
0.056 0.184 0.464
0.068 0.130 0.944
0.081 0.579 0.435
0.092 0.319 0.826
0.122 0.457 0.138
0.164 0.249 0.089
0.175 0.991 0.440
0.188 0.404 0.667
0.210 0.543 0.722
0.248 0.738 0.119
0.248 0.929 0.860
0.282 0.128 0.296
0.322 0.266 0.350
0.324 0.679 0.545
0.340 0.419 0.925
0.374 0.211 0.877
0.405 0.350 0.187
0.416 0.087 0.573
0.442 0.535 0.078
0.451 0.492 0.557
0.458 0.968 0.662
0.461 0.228 0.645
0.478 0.327 0.807
0.522 0.827 0.193
0.539 0.728 0.355
0.542 0.468 0.338
0.549 0.992 0.443
0.558 0.035 0.922
0.584 0.587 0.427
0.595 0.850 0.813
0.626 0.711 0.123
0.660 0.919 0.075
0.676 0.179 0.455
0.678 0.766 0.650
0.718 0.628 0.704
0.752 0.238 0.881
0.752 0.429 0.140
0.790 0.043 0.278
0.812 0.904 0.333
0.825 0.491 0.560
0.836 0.749 0.911
0.878 0.957 0.862
0.908 0.819 0.174
0.919 0.079 0.565
0.932 0.630 0.056
0.944 0.684 0.536
0.953 0.192 0.684
0.953 0.939 0.625
0.973 0.841 0.788
```

Run ii
CsMo2P3O13: optimized geometry, PBE with a Hubbard U.

## Properties
The value obtained for the density is 3.3 Mg/m³. For the total magnetization, the calculation gives 0.000 μB/cell.

POSCAR file:
```
CsMo2P3O13
1.0
6.456 0.000 0.000
3.101 9.468 0.000
1.371 0.850 10.157
Cs Mo P O
2 4 6 26
Direct
0.000 0.000 0.000
0.012 0.432 0.542
0.360 0.342 0.863
0.367 0.068 0.301
0.656 0.792 0.786
0.660 0.521 0.224
0.214 0.707 0.720
0.216 0.426 0.180
0.502 0.128 0.599
0.520 0.734 0.488
0.806 0.435 0.907
0.808 0.154 0.367
0.041 0.343 0.860
0.050 0.065 0.350
0.240 0.269 0.223
0.253 0.548 0.747
0.262 0.452 0.029
0.281 0.738 0.565
0.344 0.767 0.800
0.345 0.148 0.493
0.368 0.476 0.253
0.407 0.989 0.158
0.433 0.259 0.677
0.459 0.180 0.944
0.487 0.873 0.405
0.532 0.989 0.683
0.563 0.682 0.142
0.589 0.603 0.410
0.613 0.873 0.928
0.655 0.383 0.834
0.676 0.714 0.594
0.677 0.095 0.286
0.740 0.122 0.522
0.760 0.408 0.058
0.768 0.313 0.342
0.783 0.591 0.863
0.972 0.797 0.737
0.980 0.515 0.228
```

run i (5 meV per atom below the next structure)

Run i
Li3Mn4P6O24: optimized geometry, PBE with a Hubbard U.

## Properties
The value obtained for the density is 3.2 Mg/m³. For the total magnetization, the calculation gives 13.005 μB/cell.

POSCAR file:
```
Li3Mn4P6O24
1.0
5.831 -6.336 0.000
5.831 6.336 0.000
-2.387 0.000 5.765
Li Mn P O
3 4 6 24
Direct
0.000 0.000 0.000
0.493 0.507 0.249
0.493 0.507 0.751
0.051 0.385 0.385
0.368 0.065 0.883
0.615 0.949 0.615
0.935 0.632 0.117
0.145 0.348 0.890
0.270 0.730 0.500
0.335 0.160 0.387
0.652 0.855 0.110
0.716 0.284 0.000
0.840 0.665 0.613
0.022 0.357 0.664
0.053 0.411 0.079
0.151 0.174 0.342
0.153 0.751 0.278
0.158 0.166 0.870
0.247 0.553 0.521
0.249 0.847 0.722
0.309 0.449 0.951
0.344 0.032 0.163
0.393 0.068 0.578
0.439 0.323 0.453
0.447 0.753 0.479
0.539 0.261 0.021
0.551 0.691 0.049
0.589 0.947 0.921
0.643 0.978 0.336
0.677 0.561 0.547
0.739 0.165 0.780
0.739 0.461 0.979
0.826 0.849 0.658
0.834 0.842 0.130
0.835 0.261 0.220
0.932 0.607 0.422
0.968 0.656 0.837
```

Run ii
Li3Mn4P6O24: optimized geometry, PBE with a Hubbard U.

## Properties
The value obtained for the density is 3.1 Mg/m³. For the total magnetization, the calculation gives 13.000 μB/cell.

POSCAR file:
```
Li3Mn4P6O24
1.0
8.355 0.000 0.000
-4.088 7.411 0.000
-0.122 -4.818 7.022
Li Mn P O
3 4 6 24
Direct
0.000 0.000 0.000
0.260 0.510 0.147
0.526 0.035 0.523
0.150 0.738 0.861
0.377 0.304 0.653
0.653 0.737 0.364
0.872 0.305 0.156
0.057 0.811 0.259
0.265 0.533 0.479
0.459 0.230 0.970
0.557 0.805 0.036
0.759 0.508 0.542
0.975 0.239 0.758
0.008 0.454 0.805
0.040 0.601 0.215
0.070 0.832 0.087
0.103 0.349 0.277
0.142 0.215 0.708
0.204 0.666 0.628
0.251 0.000 0.426
0.265 0.039 0.946
0.326 0.414 0.525
0.391 0.818 0.984
0.424 0.699 0.444
0.459 0.198 0.773
0.459 0.430 0.111
0.540 0.594 0.884
0.554 0.824 0.227
0.595 0.332 0.562
0.635 0.237 0.034
0.692 0.616 0.485
0.754 0.994 0.059
0.779 0.056 0.604
0.824 0.377 0.392
0.885 0.820 0.303
0.922 0.696 0.738
0.981 0.234 0.942
```

run ii (50 meV per atom below the next structure)